VASP calculation (PBE with a Hubbard U) on crystalline LiFePO4 at its relaxed geometry.

abc: 5.840 10.337 10.080
angles: 90.00 93.30 90.00
Fractional coordinates of all 56 atoms:
Li 0.123 0.084 0.231
Li 0.123 0.416 0.731
Li 0.360 0.605 0.516
Li 0.360 0.895 0.016
Li 0.640 0.105 0.984
Li 0.640 0.395 0.484
Li 0.877 0.584 0.269
Li 0.877 0.916 0.769
Fe 0.129 0.654 0.850
Fe 0.129 0.846 0.350
Fe 0.378 0.167 0.638
Fe 0.378 0.333 0.138
Fe 0.622 0.667 0.862
Fe 0.622 0.833 0.362
Fe 0.871 0.154 0.650
Fe 0.871 0.346 0.150
P 0.127 0.149 0.905
P 0.127 0.351 0.405
P 0.369 0.604 0.151
P 0.369 0.896 0.651
P 0.631 0.104 0.349
P 0.631 0.396 0.849
P 0.873 0.649 0.595
P 0.873 0.851 0.095
O 0.102 0.233 0.032
O 0.102 0.267 0.532
O 0.103 0.580 0.635
O 0.103 0.920 0.135
O 0.153 0.514 0.139
O 0.153 0.986 0.639
O 0.162 0.238 0.782
O 0.162 0.262 0.282
O 0.332 0.059 0.924
O 0.332 0.441 0.424
O 0.362 0.698 0.272
O 0.362 0.802 0.772
O 0.378 0.686 0.019
O 0.378 0.814 0.519
O 0.418 0.013 0.335
O 0.418 0.487 0.835
O 0.582 0.513 0.165
O 0.582 0.987 0.665
O 0.622 0.186 0.481
O 0.622 0.314 0.981
O 0.638 0.198 0.228
O 0.638 0.302 0.728
O 0.668 0.559 0.576
O 0.668 0.941 0.076
O 0.838 0.738 0.718
O 0.838 0.762 0.218
O 0.847 0.014 0.361
O 0.847 0.486 0.861
O 0.897 0.080 0.865
O 0.897 0.420 0.365
O 0.898 0.733 0.468
O 0.898 0.767 0.968

Space-group type = P2_1/c
MP2020-corrected energy = -418.8 eV for the cell shown
Formation energy = -55.2 kcal/mol of atoms